(1)
## LiMg14WO16 (PBE with a Hubbard U)

Data for a relaxed LiMg14WO16 crystal.

Energy above the most stable polymorph in this dataset   0.0039 eV per atom
VASP energy   -0.2216 hartree per atom
Space-group type   No. 123
Size of the total moment   3.000 μB per cell
Formation energy   -92.0 eV per formula unit

Lattice parameters (Å, degrees): 8.5817 8.5817 4.2801 90.00 90.00 90.00
Fractional coordinates of all 32 atoms:
O 0.7477 0.2523 0.5000
O 0.7477 0.7477 0.5000
O 0.5000 0.0000 0.5000
O 0.0000 0.7413 0.0000
O 0.7413 0.0000 0.0000
O 0.5000 0.7522 0.0000
O 0.5000 0.2478 0.0000
O 0.7522 0.5000 0.0000
O 0.0000 0.5000 0.5000
O 0.2523 0.2523 0.5000
O 0.2587 0.0000 0.0000
O 0.2478 0.5000 0.0000
O 0.2523 0.7477 0.5000
O 0.0000 0.0000 0.5000
O 0.0000 0.2587 0.0000
O 0.5000 0.5000 0.5000
W 0.5000 0.5000 0.0000
Mg 0.7593 0.7593 0.0000
Mg 0.0000 0.5000 0.0000
Mg 0.5000 0.2398 0.5000
Mg 0.5000 0.7602 0.5000
Mg 0.0000 0.2421 0.5000
Mg 0.2421 0.0000 0.5000
Mg 0.7602 0.5000 0.5000
Mg 0.2398 0.5000 0.5000
Mg 0.0000 0.7579 0.5000
Mg 0.2407 0.7593 0.0000
Mg 0.2407 0.2407 0.0000
Mg 0.5000 0.0000 0.0000
Mg 0.7593 0.2407 0.0000
Mg 0.7579 0.0000 0.5000
Li 0.0000 0.0000 0.0000



(2)
## Li2Mg11W12O48 (PBE with a Hubbard U)

Data for a relaxed Li2Mg11W12O48 crystal.

Energy above the most stable polymorph in this dataset   0.0054 eV per atom
VASP energy   -0.2549 hartree per atom
Space-group type   No. 6
Size of the total moment   0.001 μB per cell
Formation energy   -178.2 eV per formula unit

Lattice parameters (Å, degrees): 10.7684 5.2747 17.7716 89.65 90.00 90.00
Fractional coordinates of all 73 atoms:
O 0.1308 0.1522 0.7055
O 0.3668 0.9097 0.7813
O 0.8602 0.0471 0.3798
O 0.0000 0.4374 0.4960
O 0.3581 0.4525 0.8789
O 0.6260 0.3551 0.2062
O 0.8712 0.6367 0.7955
O 0.8655 0.4179 0.9650
O 0.8600 0.5469 0.1206
O 0.2375 0.9233 0.9267
O 0.8646 0.0791 0.2149
O 0.6259 0.8547 0.2936
O 0.3631 0.9411 0.6232
O 0.3696 0.4293 0.7104
O 0.1356 0.9161 0.5365
O 0.5000 0.3557 0.3431
O 0.8656 0.5799 0.2860
O 0.3740 0.3551 0.2062
O 0.1344 0.5799 0.2860
O 0.6304 0.4293 0.7104
O 0.2634 0.5806 0.4269
O 0.6333 0.5855 0.0354
O 0.0000 0.1495 0.8447
O 0.6332 0.9097 0.7813
O 0.5000 0.0666 0.9954
O 0.6331 0.0856 0.4652
O 0.8692 0.1522 0.7055
O 0.0000 0.9338 0.0041
O 0.1354 0.0791 0.2149
O 0.1288 0.6367 0.7955
O 0.7366 0.5806 0.4269
O 0.0000 0.6362 0.6553
O 0.7606 0.4132 0.5718
O 0.2394 0.4132 0.5718
O 0.1398 0.0471 0.3798
O 0.3741 0.8547 0.2936
O 0.5000 0.8554 0.1569
O 0.3669 0.0856 0.4652
O 0.2633 0.0798 0.0731
O 0.1400 0.5469 0.1206
O 0.6369 0.9411 0.6232
O 0.1345 0.4179 0.9650
O 0.3667 0.5855 0.0354
O 0.5000 0.5659 0.5050
O 0.7367 0.0798 0.0731
O 0.8644 0.9161 0.5365
O 0.7625 0.9233 0.9267
O 0.6419 0.4525 0.8789
W 0.7226 0.2189 0.6575
W 0.5000 0.7827 0.0567
W 0.5000 0.2839 0.4435
W 0.0000 0.2215 0.9434
W 0.7265 0.7217 0.8424
W 0.2249 0.2793 0.1579
W 0.2735 0.7217 0.8424
W 0.2774 0.2189 0.6575
W 0.0000 0.7201 0.5575
W 0.7751 0.2793 0.1579
W 0.2242 0.7810 0.3417
W 0.7758 0.7810 0.3417
Mg 0.0000 0.3942 0.7509
Mg 0.1727 0.7608 0.0299
Mg 0.3241 0.2422 0.9705
Mg 0.1724 0.2609 0.4695
Mg 0.8276 0.2609 0.4695
Mg 0.3232 0.7432 0.5292
Mg 0.6768 0.7432 0.5292
Mg 0.8273 0.7608 0.0299
Mg 0.6759 0.2422 0.9705
Mg 0.5000 0.6045 0.2491
Mg 0.5000 0.1044 0.2507
Li 0.5000 0.7573 0.7071
Li 0.0000 0.8954 0.7503



(3)
## LiMg14WO16 (PBE with a Hubbard U)

Data for a relaxed LiMg14WO16 crystal.

Energy above the most stable polymorph in this dataset   0.0000 eV per atom
VASP energy   -0.2217 hartree per atom
Space-group type   No. 47
Size of the total moment   3.000 μB per cell
Formation energy   -92.1 eV per formula unit

Lattice parameters (Å, degrees): 8.5612 8.6088 4.2806 90.00 90.00 90.00
Fractional coordinates of all 32 atoms:
O 0.2540 0.5000 0.0000
O 0.5000 0.2529 0.0000
O 0.2488 0.2523 0.5000
O 0.7512 0.2523 0.5000
O 0.0000 0.0000 0.5000
O 0.0000 0.5000 0.5000
O 0.5000 0.0000 0.5000
O 0.5000 0.5000 0.5000
O 0.2488 0.7477 0.5000
O 0.5000 0.7471 0.0000
O 0.7512 0.7477 0.5000
O 0.7460 0.5000 0.0000
O 0.7414 0.0000 0.0000
O 0.0000 0.7497 0.0000
O 0.0000 0.2503 0.0000
O 0.2586 0.0000 0.0000
Mg 0.2505 0.2402 0.0000
Mg 0.7495 0.7598 0.0000
Mg 0.7427 0.5000 0.5000
Mg 0.5000 0.2470 0.5000
Mg 0.5000 0.7530 0.5000
Mg 0.2505 0.7598 0.0000
Mg 0.2573 0.5000 0.5000
Mg 0.7495 0.2402 0.0000
Mg 0.0000 0.2336 0.5000
Mg 0.5000 0.0000 0.0000
Mg 0.2448 0.0000 0.5000
Mg 0.7552 0.0000 0.5000
Mg 0.0000 0.7664 0.5000
Mg 0.5000 0.5000 0.0000
Li 0.0000 0.0000 0.0000
W 0.0000 0.5000 0.0000



(4)
## Li5Mg11W12O48 (PBE with a Hubbard U)

Data for a relaxed Li5Mg11W12O48 crystal.

VASP energy   -0.2517 hartree per atom
Space-group type   No. 6
Size of the total moment   3.000 μB per cell
Formation energy   -186.7 eV per formula unit

Lattice parameters (Å, degrees): 10.5922 5.2461 18.0600 89.92 90.00 90.00
Fractional coordinates of all 76 atoms:
W 0.2242 0.7826 0.3456
W 0.0000 0.7122 0.5578
W 0.5000 0.2914 0.4398
W 0.7230 0.2248 0.6555
W 0.0000 0.2031 0.9413
W 0.2245 0.2789 0.1543
W 0.7253 0.7231 0.8444
W 0.7758 0.7826 0.3456
W 0.7755 0.2789 0.1543
W 0.5000 0.7939 0.0592
W 0.2747 0.7231 0.8444
W 0.2770 0.2248 0.6555
O 0.8693 0.1557 0.7031
O 0.3750 0.4204 0.7125
O 0.7607 0.4229 0.5726
O 0.7393 0.0774 0.0742
O 0.3643 0.4436 0.8733
O 0.0000 0.6346 0.6545
O 0.2596 0.5809 0.4271
O 0.6299 0.3487 0.2059
O 0.6357 0.4436 0.8733
O 0.5000 0.8420 0.1630
O 0.8643 0.5600 0.1274
O 0.1357 0.5600 0.1274
O 0.8724 0.0851 0.2136
O 0.3708 0.8488 0.2955
O 0.8646 0.0621 0.3751
O 0.6250 0.4204 0.7125
O 0.1307 0.1557 0.7031
O 0.8643 0.9139 0.5357
O 0.1421 0.4159 0.9647
O 0.6421 0.0798 0.4635
O 0.3575 0.5833 0.0378
O 0.7404 0.5809 0.4271
O 0.0000 0.1598 0.8398
O 0.6292 0.8488 0.2955
O 0.3720 0.9191 0.7857
O 0.1276 0.0851 0.2136
O 0.8579 0.4159 0.9647
O 0.5000 0.3401 0.3373
O 0.8736 0.5865 0.2888
O 0.1320 0.6442 0.7936
O 0.7619 0.9231 0.9260
O 0.6425 0.5833 0.0378
O 0.6384 0.9400 0.6249
O 0.3616 0.9400 0.6249
O 0.0000 0.9324 0.0123
O 0.2393 0.4229 0.5726
O 0.5000 0.0627 0.9890
O 0.3701 0.3487 0.2059
O 0.1354 0.0621 0.3751
O 0.0000 0.4313 0.4952
O 0.1357 0.9139 0.5357
O 0.8680 0.6442 0.7936
O 0.2381 0.9231 0.9260
O 0.5000 0.5600 0.5102
O 0.2607 0.0774 0.0742
O 0.6280 0.9191 0.7857
O 0.1264 0.5865 0.2888
O 0.3579 0.0798 0.4635
Li 0.0000 0.7482 0.1977
Li 0.5000 0.2537 0.8014
Li 0.0000 0.9021 0.7541
Li 0.0000 0.2438 0.2977
Li 0.5000 0.7560 0.7028
Mg 0.6746 0.2599 0.9721
Mg 0.5000 0.5959 0.2486
Mg 0.0000 0.3973 0.7537
Mg 0.3254 0.2599 0.9721
Mg 0.1717 0.7399 0.0251
Mg 0.8283 0.7399 0.0251
Mg 0.1798 0.2479 0.4727
Mg 0.8202 0.2479 0.4727
Mg 0.6679 0.7536 0.5278
Mg 0.5000 0.0958 0.2482
Mg 0.3321 0.7536 0.5278



(5)
## Na3Li5Mn5O9 (PBE with a Hubbard U)

Data for a relaxed Na3Li5Mn5O9 crystal.

Energy above the most stable polymorph in this dataset   0.0113 eV per atom
VASP energy   -0.2172 hartree per atom
Space-group type   No. 1
Size of the total moment   24.994 μB per cell
Formation energy   -40.7 eV per formula unit

Lattice parameters (Å, degrees): 6.0686 6.0749 8.8526 96.17 97.51 119.88
Fractional coordinates of all 22 atoms:
O 0.6876 0.3540 0.9986
O 0.3357 0.6449 0.9986
O 0.9064 0.5488 0.6867
O 0.1029 0.4399 0.2962
O 0.9712 0.0020 0.0114
O 0.2503 0.2407 0.6855
O 0.4492 0.1139 0.3370
O 0.7662 0.7658 0.3102
O 0.5331 0.8964 0.6917
Mn 0.0974 0.0865 0.2489
Mn 0.5977 0.2621 0.7502
Mn 0.2540 0.5714 0.7511
Mn 0.7324 0.3948 0.2437
Mn 0.4131 0.7675 0.2416
Na 0.8356 0.1304 0.5289
Na 0.5511 0.5515 0.5262
Na 0.1454 0.8427 0.5289
Li 0.2527 0.2165 0.9122
Li 0.0216 0.3645 0.0520
Li 0.6461 0.9751 0.9254
Li 0.6752 0.6705 0.0530
Li 0.0046 0.7233 0.9113



(6)
## Na3Li5Mn5O9 (PBE with a Hubbard U)

Data for a relaxed Na3Li5Mn5O9 crystal.

Energy above the most stable polymorph in this dataset   0.0000 eV per atom
VASP energy   -0.2176 hartree per atom
Space-group type   No. 1
Size of the total moment   24.995 μB per cell
Formation energy   -40.9 eV per formula unit

Lattice parameters (Å, degrees): 5.8928 5.9076 9.0484 78.21 83.12 60.13
Fractional coordinates of all 22 atoms:
Li 0.3686 0.6184 0.0347
Li 0.0644 0.0663 0.6260
Li 0.3875 0.4062 0.6521
Li 0.7092 0.7327 0.6362
Li 0.0163 0.9221 0.1813
Na 0.0790 0.4678 0.4335
Na 0.7276 0.1209 0.4406
Na 0.3940 0.7703 0.4263
O 0.3749 0.3358 0.9357
O 0.0650 0.9512 0.9502
O 0.7254 0.3978 0.6264
O 0.0778 0.1664 0.2738
O 0.7396 0.8325 0.2706
O 0.0514 0.7386 0.6227
O 0.6885 0.6430 0.9399
O 0.3889 0.0790 0.6264
O 0.4251 0.4927 0.2445
Mn 0.3725 0.0235 0.8552
Mn 0.7452 0.3062 0.8555
Mn 0.7724 0.5212 0.1813
Mn 0.0187 0.6827 0.8517
Mn 0.4146 0.1709 0.1806



(7)
## Na5LiMn2O8 (PBE with a Hubbard U)

Data for a relaxed Na5LiMn2O8 crystal.

VASP energy   -0.1993 hartree per atom
Space-group type   No. 62
Size of the total moment   31.997 μB per cell
Formation energy   -29.2 eV per formula unit

Lattice parameters (Å, degrees): 10.5635 10.6188 15.2108 90.00 90.00 90.00
Fractional coordinates of all 128 atoms:
Na 0.7764 0.2626 0.1377
Na 0.4290 0.7690 0.2500
Na 0.2764 0.2374 0.6377
Na 0.2577 0.2553 0.3963
Na 0.5188 0.0098 0.1125
Na 0.7224 0.5067 0.9960
Na 0.2236 0.7373 0.8623
Na 0.0170 0.7915 0.2500
Na 0.4812 0.9902 0.8875
Na 0.0188 0.4902 0.8875
Na 0.5188 0.0098 0.3875
Na 0.2224 0.9933 0.0040
Na 0.0188 0.4902 0.6125
Na 0.4812 0.9902 0.6125
Na 0.9812 0.5098 0.1125
Na 0.9812 0.5098 0.3875
Na 0.7236 0.7627 0.3623
Na 0.5170 0.7085 0.7500
Na 0.2776 0.4933 0.4960
Na 0.0710 0.2690 0.2500
Na 0.7224 0.5067 0.5040
Na 0.5710 0.2310 0.7500
Na 0.2236 0.7373 0.6377
Na 0.9290 0.7310 0.7500
Na 0.4830 0.2915 0.2500
Na 0.7423 0.7447 0.6037
Na 0.9830 0.2085 0.7500
Na 0.2764 0.2374 0.8623
Na 0.7423 0.7447 0.8963
Na 0.7577 0.2447 0.6037
Na 0.7577 0.2447 0.8963
Na 0.7776 0.0067 0.5040
Na 0.2577 0.2553 0.1037
Na 0.2423 0.7553 0.1037
Na 0.7236 0.7627 0.1377
Na 0.2224 0.9933 0.4960
Na 0.2776 0.4933 0.0040
Na 0.7764 0.2626 0.3623
Na 0.2423 0.7553 0.3963
Na 0.7776 0.0067 0.9960
Mn 0.9939 0.7520 0.9994
Mn 0.5061 0.2520 0.5006
Mn 0.9939 0.7520 0.5006
Mn 0.7712 0.5072 0.2500
Mn 0.4939 0.7480 0.0006
Mn 0.2712 0.9928 0.7500
Mn 0.0061 0.2480 0.4994
Mn 0.2457 0.5207 0.2500
Mn 0.0061 0.2480 0.0006
Mn 0.2288 0.4928 0.7500
Mn 0.2543 0.0207 0.2500
Mn 0.7457 0.9793 0.7500
Mn 0.5061 0.2520 0.9994
Mn 0.4939 0.7480 0.4994
Mn 0.7288 0.0072 0.2500
Mn 0.7543 0.4793 0.7500
O 0.3882 0.1404 0.5120
O 0.0912 0.0015 0.2500
O 0.1391 0.3235 0.5359
O 0.7114 0.8197 0.7500
O 0.4593 0.6809 0.1007
O 0.0407 0.1809 0.3993
O 0.3882 0.1404 0.9880
O 0.4088 0.5015 0.2500
O 0.9593 0.8191 0.6007
O 0.5912 0.4985 0.7500
O 0.8609 0.6765 0.0359
O 0.9593 0.8191 0.8993
O 0.6842 0.4879 0.3444
O 0.6391 0.1765 0.0359
O 0.6833 0.0473 0.8425
O 0.3470 0.8495 0.7500
O 0.6842 0.4879 0.1556
O 0.6118 0.8596 0.4880
O 0.1833 0.4527 0.3425
O 0.5407 0.3191 0.6007
O 0.3167 0.9527 0.1575
O 0.0407 0.1809 0.1007
O 0.8882 0.3596 0.0120
O 0.9088 0.9985 0.7500
O 0.4496 0.3634 0.0717
O 0.6391 0.1765 0.4641
O 0.0504 0.8634 0.0717
O 0.8158 0.9879 0.1556
O 0.3609 0.8235 0.5359
O 0.8158 0.9879 0.3444
O 0.5504 0.6366 0.9283
O 0.6149 0.8898 0.2500
O 0.1833 0.4527 0.1575
O 0.8851 0.3898 0.2500
O 0.6833 0.0473 0.6575
O 0.5407 0.3191 0.8993
O 0.8882 0.3596 0.4880
O 0.1530 0.3495 0.7500
O 0.5504 0.6366 0.5717
O 0.7886 0.3197 0.7500
O 0.0504 0.8634 0.4283
O 0.3167 0.9527 0.3425
O 0.9496 0.1366 0.5717
O 0.8609 0.6765 0.4641
O 0.8470 0.6505 0.2500
O 0.1118 0.6404 0.5120
O 0.1118 0.6404 0.9880
O 0.1391 0.3235 0.9641
O 0.3158 0.5121 0.8444
O 0.1842 0.0121 0.6556
O 0.8167 0.5473 0.8425
O 0.1149 0.6102 0.7500
O 0.2886 0.1803 0.2500
O 0.9496 0.1366 0.9283
O 0.4593 0.6809 0.3993
O 0.3851 0.1102 0.7500
O 0.6530 0.1505 0.2500
O 0.2114 0.6803 0.2500
O 0.3158 0.5121 0.6556
O 0.3609 0.8235 0.9641
O 0.8167 0.5473 0.6575
O 0.6118 0.8596 0.0120
O 0.1842 0.0121 0.8444
O 0.4496 0.3634 0.4283
Li 0.4976 0.4873 0.8601
Li 0.9976 0.0127 0.3601
Li 0.5024 0.5127 0.3601
Li 0.4976 0.4873 0.6399
Li 0.0024 0.9873 0.8601
Li 0.5024 0.5127 0.1399
Li 0.0024 0.9873 0.6399
Li 0.9976 0.0127 0.1399